No. 1
Na2W2O5 GGA+U relaxed; ΔE to the lowest computed polymorph = 7.4 meV/atom; crystal system = orthorhombic; total magnetization = 0.4443 μB/atom
1.0
-2.8591 2.9065 7.4670
2.8591 -2.9065 7.4670
2.8591 2.9065 -7.4670
O W Na
10 4 4
direct
0.9432 0.9011 0.1254
0.2700 0.7938 0.0205
0.0568 0.1822 0.9579
0.7243 0.6822 0.1254
0.3754 0.8365 0.7119
0.2733 0.2938 0.5238
0.7267 0.2505 0.0205
0.2757 0.4011 0.9579
0.6246 0.3365 0.4612
0.7300 0.7505 0.5238
0.6915 0.6804 0.8719
0.3085 0.1804 0.9889
0.5000 0.5235 0.0235
0.0000 0.0235 0.0235
0.6334 0.1017 0.5278
0.3666 0.8944 0.4683
0.0739 0.6017 0.4683
0.9261 0.3944 0.5278

No. 2
Na5WO5 GGA+U relaxed; crystal system = monoclinic; total magnetization = 0.0897 μB/atom
1.0
-3.3900 -3.9589 -2.7092
4.8160 1.4291 -3.0445
5.6383 -8.4898 1.5639
O Na W
10 10 2
direct
0.0160 0.2756 0.3901
0.3861 0.1685 0.6120
0.9840 0.7244 0.6099
0.8315 0.6139 0.8880
0.7244 0.9840 0.1099
0.3384 0.6616 0.7500
0.6139 0.8315 0.3880
0.6616 0.3384 0.2500
0.2756 0.0160 0.8901
0.1685 0.3861 0.1120
0.4772 0.2210 0.0647
0.5228 0.7790 0.9353
0.2771 0.0488 0.4177
0.7790 0.5228 0.4353
0.4030 0.5970 0.2500
0.2210 0.4772 0.5647
0.0488 0.2771 0.9177
0.5970 0.4030 0.7500
0.9512 0.7229 0.0823
0.7229 0.9512 0.5823
0.8562 0.1438 0.2500
0.1438 0.8562 0.7500

No. 3
NaW3O9 GGA+U relaxed; crystal system = trigonal
1.0
2.7537 -4.7695 0.0000
2.7537 4.7695 0.0000
0.0000 0.0000 6.7429
O W Na
9 3 1
direct
0.1656 0.3312 0.3314
0.6688 0.8344 0.3314
0.0000 0.5000 0.0000
0.5000 0.5000 0.0000
0.5000 0.0000 0.0000
0.8344 0.1656 0.6686
0.1656 0.8344 0.3314
0.8344 0.6688 0.6686
0.3312 0.1656 0.6686
0.6667 0.3333 0.8294
0.0000 0.0000 0.5000
0.3333 0.6667 0.1706
0.0000 0.0000 0.0000

No. 4
Na14W19O57 GGA+U relaxed; crystal system = tetragonal; total magnetization = 0.1548 μB/atom
1.0
-0.2280 -1.2119 -3.7448
3.7663 -1.1567 0.1451
-21.7681 -67.9529 23.3160
Na O W
14 57 19
direct
0.0000 0.0000 0.9474
0.0000 0.0000 0.8422
0.0000 0.0000 0.7380
0.0000 0.0000 0.4738
0.0000 0.0000 0.2620
0.0000 0.0000 0.4210
0.0000 0.0000 0.5790
0.0000 0.0000 0.6315
0.0000 0.0000 0.0526
0.0000 0.0000 0.5262
0.0000 0.0000 0.3157
0.0000 0.0000 0.3685
0.0000 0.0000 0.1578
0.0000 0.0000 0.6843
0.5000 0.5000 0.6308
0.0000 0.5000 0.1830
0.0000 0.5000 0.5527
0.0000 0.5000 0.3947
0.5000 0.5000 0.7905
0.5000 0.0000 0.0267
0.5000 0.0000 0.5000
0.5000 0.5000 0.6854
0.5000 0.0000 0.3420
0.0000 0.5000 0.8170
0.5000 0.5000 0.2095
0.5000 0.0000 0.5527
0.0000 0.5000 0.6580
0.5000 0.0000 0.9217
0.5000 0.5000 0.4202
0.5000 0.0000 0.8170
0.5000 0.0000 0.9733
0.5000 0.5000 0.5254
0.0000 0.5000 0.9733
0.0000 0.5000 0.5000
0.0000 0.5000 0.7109
0.5000 0.0000 0.8675
0.0000 0.5000 0.0267
0.0000 0.5000 0.4473
0.0000 0.5000 0.1325
0.5000 0.0000 0.0783
0.5000 0.5000 0.3692
0.5000 0.0000 0.3947
0.0000 0.5000 0.9217
0.0000 0.5000 0.8675
0.0000 0.5000 0.0783
0.5000 0.5000 0.8941
0.5000 0.5000 0.8423
0.5000 0.0000 0.2373
0.0000 0.5000 0.2891
0.5000 0.5000 0.5798
0.5000 0.5000 0.1577
0.5000 0.5000 0.7365
0.5000 0.0000 0.1830
0.5000 0.5000 0.9481
0.5000 0.5000 0.3146
0.5000 0.0000 0.7627
0.5000 0.5000 0.1059
0.5000 0.0000 0.4473
0.5000 0.0000 0.7109
0.5000 0.0000 0.6053
0.0000 0.5000 0.2373
0.5000 0.5000 0.0000
0.5000 0.5000 0.2635
0.5000 0.0000 0.2891
0.5000 0.0000 0.1325
0.0000 0.5000 0.6053
0.5000 0.5000 0.0519
0.5000 0.5000 0.4746
0.0000 0.5000 0.7627
0.0000 0.5000 0.3420
0.5000 0.0000 0.6580
0.5000 0.5000 0.6054
0.5000 0.5000 0.1845
0.5000 0.5000 0.5526
0.5000 0.5000 0.5000
0.5000 0.5000 0.8155
0.5000 0.5000 0.0793
0.5000 0.5000 0.6581
0.5000 0.5000 0.0259
0.5000 0.5000 0.7640
0.5000 0.5000 0.1309
0.5000 0.5000 0.3419
0.5000 0.5000 0.4474
0.5000 0.5000 0.8691
0.5000 0.5000 0.2890
0.5000 0.5000 0.9207
0.5000 0.5000 0.7110
0.5000 0.5000 0.2360
0.5000 0.5000 0.3946
0.5000 0.5000 0.9741

No. 5
NaWO2 GGA+U relaxed; crystal system = tetragonal; total magnetization = 0.6326 μB/atom
1.0
4.8731 -3.7698 3.8734
-2.1926 -6.9139 -0.5937
1.1847 4.8547 -5.2906
Na O W
4 8 4
direct
0.3750 0.6250 0.2500
0.3750 0.6250 0.7500
0.3750 0.1250 0.7500
0.8750 0.6250 0.2500
0.6340 0.8502 0.8066
0.5774 0.8840 0.2838
0.0437 0.8274 0.1934
0.1726 0.3660 0.2162
0.1160 0.3998 0.6934
0.7063 0.4226 0.3066
0.6002 0.2937 0.7163
0.1498 0.9563 0.7837
0.3750 0.1250 0.2500
0.8750 0.1250 0.7500
0.8750 0.1250 0.2500
0.8750 0.6250 0.7500

No. 6
Na2W2O5 GGA+U relaxed; ΔE to the lowest computed polymorph = 28.4 meV/atom; crystal system = orthorhombic; total magnetization = 0.0000 μB/atom
1.0
-2.8404 2.8479 7.8809
2.8404 -2.8479 7.8809
2.8404 2.8479 -7.8809
W O Na
4 10 4
direct
0.0000 0.5019 0.5019
0.6011 0.2757 0.3768
0.3989 0.7757 0.6746
0.5000 0.0019 0.5019
0.2255 0.2278 0.5029
0.4603 0.8695 0.5944
0.7751 0.3695 0.4092
0.2908 0.1102 0.9010
0.7092 0.6102 0.8194
0.5397 0.1341 0.4092
0.7751 0.7774 0.5029
0.7745 0.2774 0.0024
0.2249 0.6341 0.5944
0.2249 0.7278 0.0024
0.0857 0.1127 0.9825
0.3698 0.3968 0.9825
0.6302 0.6127 0.0270
0.9143 0.8968 0.0270

No. 7
Na2WO6 GGA+U relaxed; ΔE to the lowest computed polymorph = 165.8 meV/atom; crystal system = orthorhombic; total magnetization = 0.1111 μB/atom
1.0
9.3301 0.0000 0.0000
0.0000 10.7444 0.0000
0.0000 0.0000 12.8852
O W Na
48 8 16
direct
0.2415 0.3242 0.5902
0.6318 0.7085 0.9872
0.4819 0.2999 0.6850
0.8655 0.4334 0.5868
0.7415 0.1758 0.5902
0.9040 0.7499 0.0760
0.5181 0.7001 0.3150
0.1345 0.5666 0.4132
0.0007 0.4836 0.0476
0.8655 0.9334 0.9132
0.4993 0.4836 0.5476
0.0960 0.2501 0.9240
0.6318 0.2085 0.5128
0.9993 0.0164 0.5476
0.5181 0.2001 0.1850
0.5960 0.7499 0.5760
0.0181 0.2999 0.1850
0.3655 0.0666 0.5868
0.8682 0.7085 0.4872
0.8682 0.2085 0.0128
0.7415 0.6758 0.9098
0.9819 0.7001 0.8150
0.1318 0.7915 0.9872
0.5007 0.5164 0.4524
0.1318 0.2915 0.5128
0.2415 0.8242 0.9098
0.0007 0.9836 0.4524
0.3682 0.7915 0.4872
0.9819 0.2001 0.6850
0.7585 0.1758 0.0902
0.6345 0.9334 0.4132
0.9993 0.5164 0.9524
0.9040 0.2499 0.4240
0.0181 0.7999 0.3150
0.5960 0.2499 0.9240
0.4993 0.9836 0.9524
0.4040 0.2501 0.4240
0.2585 0.3242 0.0902
0.0960 0.7501 0.5760
0.4040 0.7501 0.0760
0.4819 0.7999 0.8150
0.3655 0.5666 0.9132
0.6345 0.4334 0.0868
0.3682 0.2915 0.0128
0.5007 0.0164 0.0476
0.2585 0.8242 0.4098
0.1345 0.0666 0.0868
0.7585 0.6758 0.4098
0.0760 0.7245 0.4342
0.5760 0.7755 0.4342
0.5760 0.2755 0.0658
0.9240 0.2755 0.5658
0.0760 0.2245 0.0658
0.4240 0.2245 0.5658
0.4240 0.7245 0.9342
0.9240 0.7755 0.9342
0.0750 0.8803 0.1601
0.4250 0.3803 0.8399
0.7120 0.8994 0.0879
0.5750 0.6197 0.1601
0.2880 0.1006 0.9121
0.7880 0.8994 0.5879
0.9250 0.6197 0.6601
0.9250 0.1197 0.8399
0.7120 0.3994 0.4121
0.5750 0.1197 0.3399
0.2120 0.1006 0.4121
0.7880 0.3994 0.9121
0.2880 0.6006 0.5879
0.0750 0.3803 0.3399
0.4250 0.8803 0.6601
0.2120 0.6006 0.0879

No. 8
Na2ZrW3O12 GGA+U relaxed; crystal system = tetragonal; total magnetization = 0.0000 μB/atom
1.0
18.8012 -0.0509 5.2113
16.8207 6.5445 7.4080
-18.7102 -4.5931 -3.0784
O Na W Zr
24 4 6 2
direct
0.4459 0.5715 0.5767
0.9064 0.5234 0.8852
0.3291 0.4360 0.6321
0.8040 0.6970 0.3679
0.7927 0.3024 0.8723
0.3215 0.2448 0.6256
0.7712 0.1564 0.8830
0.4301 0.9205 0.1277
0.6705 0.0427 0.9904
0.8824 0.8426 0.4357
0.1062 0.7018 0.9453
0.9108 0.3562 0.9043
0.6382 0.0212 0.1148
0.1860 0.0540 0.6069
0.0524 0.6801 0.0096
0.7565 0.1608 0.0547
0.4069 0.4467 0.5643
0.2734 0.8882 0.1170
0.6192 0.6959 0.3744
0.4518 0.0065 0.0957
0.9948 0.8692 0.4233
0.5926 0.6569 0.4602
0.4470 0.5791 0.3931
0.1967 0.1324 0.5398
0.0732 0.0732 0.0000
0.0143 0.5143 0.5000
0.2643 0.2643 0.0000
0.8232 0.3232 0.5000
0.6512 0.1512 0.5000
0.7454 0.7454 0.0000
0.9012 0.9012 0.0000
0.5954 0.5954 0.0000
0.3454 0.8454 0.5000
0.4954 0.9954 0.5000
0.4277 0.4277 0.0000
0.1777 0.6777 0.5000

No. 9
Nb2NiO6 GGA+U relaxed; ΔE to the lowest computed polymorph = 64.3 meV/atom; crystal system = monoclinic; total magnetization = 0.0000 μB/atom
1.0
0.4467 -5.6258 0.7107
3.7243 -0.9510 4.1927
-6.4580 2.2438 3.0665
O Ni Nb
12 2 4
direct
0.7087 0.3087 0.5078
0.2331 0.2331 0.5420
0.9576 0.3757 0.1666
0.9003 0.9003 0.2062
0.0247 0.6246 0.8255
0.6246 0.0247 0.8255
0.3757 0.9576 0.1666
0.1002 0.1002 0.7913
0.5619 0.5619 0.8659
0.7715 0.7715 0.4674
0.4331 0.4330 0.1271
0.3087 0.7087 0.5078
0.0085 0.0085 0.0044
0.3248 0.3248 0.3289
0.0115 0.0115 0.4827
0.3218 0.3218 0.8506
0.6667 0.6667 0.1669
0.6666 0.6666 0.6668

No. 10
Nb2NiO6 GGA+U relaxed; ΔE to the lowest computed polymorph = 0.0 meV/atom; crystal system = orthorhombic
1.0
5.0816 0.0000 0.0000
0.0000 5.7945 0.0000
0.0000 0.0000 14.2719
Nb O Ni
8 24 4
direct
0.7463 0.1826 0.1590
0.2463 0.3174 0.3410
0.2537 0.3174 0.6590
0.2463 0.8174 0.1590
0.7537 0.1826 0.8410
0.7463 0.6826 0.3410
0.2537 0.8174 0.8410
0.7537 0.6826 0.6590
0.5766 0.8759 0.2443
0.4114 0.1158 0.4219
0.5766 0.3759 0.2557
0.4214 0.6080 0.4054
0.0786 0.6080 0.5946
0.9114 0.3842 0.0781
0.5786 0.8920 0.9054
0.9214 0.8920 0.0946
0.9214 0.3920 0.4054
0.0766 0.1241 0.2443
0.0786 0.1080 0.9054
0.0886 0.1158 0.5781
0.4234 0.6241 0.7443
0.5886 0.8842 0.5781
0.4114 0.6158 0.0781
0.4214 0.1080 0.0946
0.9234 0.3759 0.7443
0.9114 0.8842 0.4219
0.0766 0.6241 0.2557
0.0886 0.6158 0.9219
0.5786 0.3920 0.5946
0.4234 0.1241 0.7557
0.9234 0.8759 0.7557
0.5886 0.3842 0.9219
0.2500 0.8453 0.5000
0.2500 0.3453 0.0000
0.7500 0.6547 0.0000
0.7500 0.1547 0.5000

no.,energy relative to the elements (kcal/mol of atoms)
1,-42.451
2,-43.160
3,-50.558
4,-49.627
5,-31.252
6,-41.968
7,-29.009
8,-56.406
9,-59.842
10,-61.324